The following is a DFT calculation (PBE) of a relaxed Sm2Ni12As7 crystal.

**E_tot**: -122.675 eV/cell
**Calculated formation energy**: -0.54 eV per atom

abc: 9.3673 9.3673 3.8620
angles: 90.00 90.00 120.00
Space group P-6 (No. 174)
Asymmetric unit:
Sm 0.0000 0.0000 0.0000 (multiplicity 1)
Sm 0.3333 0.6667 0.5000 (multiplicity 1)
Ni 0.0478 0.2788 0.5000 (multiplicity 3)
Ni 0.0920 0.7123 0.0000 (multiplicity 3)
Ni 0.4562 0.2191 0.0000 (multiplicity 3)
Ni 0.5156 0.4602 0.5000 (multiplicity 3)
As 0.0706 0.4413 0.0000 (multiplicity 3)
As 0.2635 0.2182 0.5000 (multiplicity 3)
As 0.6667 0.3333 0.5000 (multiplicity 1)